# Ba2In2Si3SO10

A relaxed structure of Ba2In2Si3SO10 (GGA-PBE, Materials Project).

Energy = -6.8816 eV per atom
Total magnetization = 0.0 Bohr magnetons per cell

abc: 23.372 5.384 8.917
angles: 90.00 90.00 90.00
Space group Pca2_1 (No. 29)
Symmetry-distinct sites (fractional):
Ba (0.093, 0.127, 0.000) (multiplicity 4)
Ba (0.225, 0.142, 0.349) (multiplicity 4)
In (0.065, 0.117, 0.520) (multiplicity 4)
In (0.152, 0.548, 0.680) (multiplicity 4)
Si (0.012, 0.629, 0.745) (multiplicity 4)
Si (0.107, 0.620, 0.305) (multiplicity 4)
Si (0.204, 0.620, 0.055) (multiplicity 4)
S (0.153, 0.006, 0.675) (multiplicity 4)
O (0.011, 0.767, 0.908) (multiplicity 4)
O (0.014, 0.826, 0.606) (multiplicity 4)
O (0.050, 0.516, 0.217) (multiplicity 4)
O (0.064, 0.418, 0.735) (multiplicity 4)
O (0.107, 0.920, 0.325) (multiplicity 4)
O (0.117, 0.453, 0.457) (multiplicity 4)
O (0.160, 0.525, 0.196) (multiplicity 4)
O (0.178, 0.479, 0.905) (multiplicity 4)
O (0.203, 0.920, 0.051) (multiplicity 4)
O (0.236, 0.481, 0.591) (multiplicity 4)


# LuO2

A relaxed structure of LuO2 (GGA-PBE, Materials Project).

Energy = -7.5919 eV per atom
Total magnetization = 2.0 Bohr magnetons per cell

abc: 4.129 3.545 6.021
angles: 90.00 108.20 90.00
Space group P2_1/m (No. 11)
Symmetry-distinct sites (fractional):
Lu (0.169, 0.250, 0.315) (multiplicity 2)
O (0.185, 0.750, 0.054) (multiplicity 2)
O (0.269, 0.750, 0.548) (multiplicity 2)


# La3Ti2N3O4

A relaxed structure of La3Ti2N3O4 (GGA-PBE, Materials Project).

Energy relative to the lowest polymorph listed for this composition = 0 meV/atom
Total magnetization = 0.0 Bohr magnetons per cell
Piezoelectric modulus e_max = 0.2 C/m²

abc: 3.955 3.955 20.764
angles: 90.00 90.00 90.00
Space group I-4m2 (No. 119)
Symmetry-distinct sites (fractional):
La (0.000, 0.000, 0.000) (multiplicity 2)
La (0.000, 0.000, 0.182) (multiplicity 4)
Ti (0.000, 0.000, 0.407) (multiplicity 4)
N (0.000, 0.000, 0.500) (multiplicity 2)
N (0.000, 0.500, 0.600) (multiplicity 4)
O (0.000, 0.000, 0.295) (multiplicity 4)
O (0.000, 0.500, 0.105) (multiplicity 4)


# BaMg4Ge3

A relaxed structure of BaMg4Ge3 (GGA-PBE, Materials Project).

Energy = -3.1739 eV per atom

abc: 4.683 4.683 8.800
angles: 90.00 90.00 90.00
Space group P4/mmm (No. 123)
Symmetry-distinct sites (fractional):
Ba (0.000, 0.000, 0.000) (multiplicity 1)
Mg (0.000, 0.500, 0.319) (multiplicity 4)
Ge (0.000, 0.000, 0.500) (multiplicity 1)
Ge (0.500, 0.500, 0.148) (multiplicity 2)


# BIr

A relaxed structure of BIr (GGA-PBE, Materials Project).

Energy = -7.9594 eV per atom

abc: 3.0504 3.0504 2.7195
angles: 90.00 90.00 120.00
Space group P-6m2 (No. 187)
Symmetry-distinct sites (fractional):
B (0.0000, 0.0000, 0.0000) (multiplicity 1)
Ir (0.6667, 0.3333, 0.5000) (multiplicity 1)


# RbMg14BO16

A relaxed structure of RbMg14BO16 (GGA-PBE, Materials Project).

Energy relative to the lowest polymorph listed for this composition = 99 meV/atom
Total magnetization = 0.0 Bohr magnetons per cell

abc: 8.536 8.536 4.501
angles: 90.00 90.00 90.00
Space group P4/mmm (No. 123)
Symmetry-distinct sites (fractional):
Rb (0.000, 0.000, 0.000) (multiplicity 1)
Mg (0.000, 0.253, 0.500) (multiplicity 4)
Mg (0.000, 0.500, 0.000) (multiplicity 2)
Mg (0.255, 0.255, 0.000) (multiplicity 4)
Mg (0.260, 0.500, 0.500) (multiplicity 4)
B (0.500, 0.500, 0.000) (multiplicity 1)
O (0.000, 0.000, 0.500) (multiplicity 1)
O (0.000, 0.283, 0.000) (multiplicity 4)
O (0.000, 0.500, 0.500) (multiplicity 2)
O (0.252, 0.252, 0.500) (multiplicity 4)
O (0.298, 0.500, 0.000) (multiplicity 4)
O (0.500, 0.500, 0.500) (multiplicity 1)


What did the second record say?
# LuO2

A relaxed structure of LuO2 (GGA-PBE, Materials Project).

Energy = -7.5919 eV per atom
Total magnetization = 2.0 Bohr magnetons per cell

abc: 4.129 3.545 6.021
angles: 90.00 108.20 90.00
Space group P2_1/m (No. 11)
Symmetry-distinct sites (fractional):
Lu (0.169, 0.250, 0.315) (multiplicity 2)
O (0.185, 0.750, 0.054) (multiplicity 2)
O (0.269, 0.750, 0.548) (multiplicity 2)